A relaxed structure of NiO2, computed with PBE with a Hubbard U.

Cell: 5.6330 5.6381 16.9358 Å, 60.00 60.10 59.98°
Atoms (fractional coordinates):
Ni1 0.4965 0.4963 0.1692
Ni2 0.0003 0.5007 0.4997
Ni3 0.5004 0.4979 0.3341
Ni4 0.4964 0.9988 0.1693
Ni5 0.5006 0.5006 0.4997
Ni6 0.9997 0.4959 0.1692
Ni7 0.5006 0.5030 0.6657
Ni8 0.5007 0.0004 0.4997
Ni9 0.5015 0.5018 0.8317
Ni10 0.5016 0.0021 0.8314
Ni11 0.0014 0.5018 0.8316
Ni12 0.8822 0.8802 0.9512
O1 0.2423 0.2423 0.1004
O2 0.2429 0.7133 0.1002
O3 0.2621 0.2611 0.2385
O4 0.7097 0.2459 0.0994
O5 0.2644 0.2645 0.4218
O6 0.2937 0.7332 0.2462
O7 0.7371 0.7370 0.0962
O8 0.7359 0.2918 0.2460
O9 0.2658 0.7050 0.4213
O10 0.2660 0.2652 0.5679
O11 0.7064 0.2641 0.4219
O12 0.7358 0.7331 0.2460
O13 0.2663 0.2684 0.7527
O14 0.2953 0.7370 0.5775
O15 0.7353 0.7360 0.4312
O16 0.7352 0.2968 0.5781
O17 0.2675 0.2671 0.8993
O18 0.2652 0.7093 0.7533
O19 0.7078 0.2673 0.7531
O20 0.7366 0.7368 0.5775
O21 0.2886 0.7507 0.9033
O22 0.7516 0.2872 0.9033
O23 0.7355 0.7365 0.7638
O24 0.7496 0.7494 0.9036

Calculated values
* total moment: 0.04 μB/atom
* corrected total energy (MP2020 scheme): -210.0 eV for the cell shown
* calculated formation energy: -0.607 eV/atom
* space-group type: P1, No. 1
* uncorrected energy: -4.527 eV/atom


A relaxed structure of NiO2, computed with PBE with a Hubbard U.

Cell: 4.8644 4.8644 9.1702 Å, 90.00 90.00 146.24°
Atoms (fractional coordinates):
Ni1 0.1344 0.8656 0.0710
Ni2 0.8656 0.1344 0.9290
Ni3 0.1344 0.8656 0.4290
Ni4 0.8656 0.1344 0.5710
O1 0.7640 0.2360 0.3891
O2 0.2360 0.7640 0.6109
O3 0.2360 0.7640 0.8891
O4 0.7640 0.2360 0.1109
O5 0.0451 0.9549 0.2500
O6 0.9549 0.0451 0.7500
O7 0.5000 0.5000 0.0000
O8 0.5000 0.5000 0.5000

Calculated values
* total moment: 0.18 μB/atom
* corrected total energy (MP2020 scheme): -68.4 eV for the cell shown
* calculated formation energy: -0.473 eV/atom
* space-group type: Cmcm, No. 63
* uncorrected energy: -4.394 eV/atom


A relaxed structure of Ni2O5, computed with PBE with a Hubbard U.

Cell: 6.0721 6.0721 5.4467 Å, 79.55 79.55 46.36°
Atoms (fractional coordinates):
Ni1 0.9186 0.3648 0.6990
Ni2 0.6352 0.0814 0.8010
Ni3 0.0814 0.6352 0.3010
Ni4 0.3648 0.9186 0.1990
O1 0.8566 0.7200 0.6216
O2 0.2800 0.1434 0.8784
O3 0.1434 0.2800 0.3784
O4 0.7200 0.8566 0.1216
O5 0.0165 0.9835 0.2500
O6 0.9835 0.0165 0.7500
O7 0.4650 0.4187 0.5028
O8 0.5813 0.5350 0.9972
O9 0.5350 0.5813 0.4972
O10 0.4187 0.4650 0.0028

Calculated values
* total moment: 0.43 μB/atom
* corrected total energy (MP2020 scheme): -75.2 eV for the cell shown
* calculated formation energy: -0.185 eV/atom
* space-group type: C2/c, No. 15
* uncorrected energy: -4.530 eV/atom


A relaxed structure of Ni15O16, computed with PBE with a Hubbard U.

Cell: 10.6942 10.6942 10.6942 Å, 32.05 32.05 32.05°
Atoms (fractional coordinates):
Ni1 0.2484 0.7504 0.2484
Ni2 0.5000 0.0000 0.0000
Ni3 0.7516 0.2496 0.7516
Ni4 0.7516 0.7516 0.2496
Ni5 0.2484 0.2484 0.7504
Ni6 0.5000 0.5000 0.5000
Ni7 0.6756 0.6756 0.6756
Ni8 0.7504 0.2484 0.2484
Ni9 0.0000 0.5000 0.0000
Ni10 0.2496 0.7516 0.7516
Ni11 0.0000 0.0000 0.5000
Ni12 0.2439 0.2439 0.2439
Ni13 0.7561 0.7561 0.7561
Ni14 0.3244 0.3244 0.3244
Ni15 0.0000 0.0000 0.0000
O1 0.6136 0.6136 0.6136
O2 0.8797 0.8797 0.3750
O3 0.1246 0.1246 0.1246
O4 0.3714 0.3714 0.8734
O5 0.6250 0.1203 0.1203
O6 0.1266 0.6286 0.6286
O7 0.8797 0.3750 0.8797
O8 0.3714 0.8734 0.3714
O9 0.3864 0.3864 0.3864
O10 0.8754 0.8754 0.8754
O11 0.1203 0.1203 0.6250
O12 0.6286 0.6286 0.1266
O13 0.1203 0.6250 0.1203
O14 0.3750 0.8797 0.8797
O15 0.6286 0.1266 0.6286
O16 0.8734 0.3714 0.3714

Calculated values
* total moment: 0.90 μB/atom
* corrected total energy (MP2020 scheme): -199.3 eV for the cell shown
* calculated formation energy: -1.079 eV/atom
* space-group type: R-3m, No. 166
* uncorrected energy: -4.846 eV/atom


A relaxed structure of NiO2, computed with PBE with a Hubbard U.

Cell: 5.6110 5.6110 14.1689 Å, 90.00 90.00 120.00°
Atoms (fractional coordinates):
Ni1 0.8350 0.1650 0.8327
Ni2 0.8350 0.6700 0.8327
Ni3 0.5013 0.4987 0.4949
Ni4 0.3300 0.1650 0.8327
Ni5 0.5013 0.0026 0.4949
Ni6 0.3333 0.6667 0.3329
Ni7 0.3333 0.6667 0.7092
Ni8 0.1670 0.8330 0.1707
Ni9 0.9974 0.4987 0.4949
Ni10 0.1670 0.3341 0.1707
Ni11 0.6659 0.8330 0.1707
Ni12 0.6667 0.3333 0.0488
O1 0.1479 0.8521 0.9044
O2 0.0000 0.0000 0.7639
O3 0.1479 0.2959 0.9044
O4 0.7041 0.8521 0.9044
O5 0.8140 0.1860 0.5682
O6 0.9776 0.4888 0.7633
O7 0.6667 0.3333 0.4273
O8 0.5112 0.0224 0.7633
O9 0.6667 0.3333 0.9030
O10 0.8140 0.6279 0.5682
O11 0.3721 0.1860 0.5682
O12 0.5112 0.4888 0.7633
O13 0.4819 0.5181 0.2469
O14 0.6312 0.8156 0.4189
O15 0.1844 0.3688 0.4189
O16 0.3333 0.6667 0.1026
O17 0.3333 0.6667 0.5649
O18 0.4819 0.9638 0.2469
O19 0.0362 0.5181 0.2469
O20 0.1844 0.8156 0.4189
O21 0.3067 0.1533 0.0983
O22 0.8467 0.6933 0.0983
O23 0.0000 0.0000 0.2381
O24 0.8467 0.1533 0.0983

Calculated values
* total moment: 0.04 μB/atom
* corrected total energy (MP2020 scheme): -207.1 eV for the cell shown
* calculated formation energy: -0.526 eV/atom
* space-group type: P3m1, No. 156
* uncorrected energy: -4.447 eV/atom


A relaxed structure of NiO2, computed with PBE with a Hubbard U.

Cell: 2.8043 2.8043 7.1598 Å, 78.71 78.71 60.00°
Atoms (fractional coordinates):
Ni1 0.0000 0.0000 0.0000
O1 0.6212 0.6212 0.1364
O2 0.3788 0.3788 0.8636

Calculated values
* total moment: 0.00 μB/atom
* corrected total energy (MP2020 scheme): -17.7 eV for the cell shown
* calculated formation energy: -0.688 eV/atom
* space-group type: R-3m, No. 166
* uncorrected energy: -4.608 eV/atom